# Li3Cr3FeO8

Crystalline Li3Cr3FeO8 at its relaxed geometry (GGA+U, the Materials Project).

Geometry as POSCAR:
```
Li3Cr3FeO8
1.0
5.920 0.000 0.000
0.000 5.946 0.000
-0.052 0.000 8.405
Li Cr Fe O
6 6 2 16
Cartesian
0.000 0.000 0.000
1.433 1.500 6.313
1.433 4.445 6.313
2.934 2.973 4.202
4.436 1.500 2.092
4.436 4.445 2.092
-0.026 0.000 4.202
1.450 1.499 2.096
1.450 4.447 2.096
2.960 2.973 0.000
4.419 1.499 6.309
4.419 4.447 6.309
0.000 2.973 0.000
2.934 0.000 4.202
0.078 0.000 2.180
0.099 2.973 2.034
1.452 1.610 0.074
1.452 4.335 0.074
1.500 1.331 4.138
1.500 4.615 4.138
2.844 2.973 2.038
2.849 0.000 2.287
3.020 0.000 6.118
3.025 2.973 6.367
4.368 1.331 4.267
4.368 4.615 4.267
4.416 1.610 8.331
4.416 4.335 8.331
5.769 2.973 6.371
5.790 0.000 6.225
```

* space-group type: P2/m, No. 10
* size of the total moment: 26.0 μB per cell
* excess energy over the best structure of this formula in the dataset: 14 meV/atom
* ΔH_f (0 K): -2.18 eV per atom